Record 1
A geometry-optimized Sm3Mg2VS8 structure. Source: the Materials Project, functional PBE.

Cell lengths 7.9149, 7.7965, 7.9083 Å; angles 59.44, 60.11, 59.45 degrees
Fractional coordinates of all 14 atoms:
S1 0.7290 0.7746 0.2667
S2 0.2710 0.2254 0.7333
Sm1 0.4999 0.5000 0.0000
Sm2 0.0000 0.5000 0.5000
S3 0.7274 0.7768 0.7274
S4 0.2523 0.7416 0.2523
S5 0.2667 0.7743 0.7292
Mg1 0.1237 0.1265 0.1239
Sm3 0.5000 0.5000 0.5000
S6 0.7476 0.2583 0.7477
V1 0.5001 0.0000 0.5000
S7 0.7334 0.2257 0.2708
S8 0.2726 0.2232 0.2727
Mg2 0.8763 0.8735 0.8761

Properties
The formation energy from the elements is -1.85 eV/atom. The value obtained for the MP2020-corrected energy is -85.5 eV per formula unit.

Record 2
A geometry-optimized Lu3Sn structure. Source: the Materials Project, functional PBE.

Cell lengths 6.0575, 6.0575, 6.0575 Å; angles 135.68, 135.68, 64.47 degrees
Fractional coordinates of all 4 atoms:
Lu1 0.2500 0.7500 0.5000
Sn1 0.0000 0.0000 0.0000
Lu2 0.7500 0.2500 0.5000
Lu3 0.5000 0.5000 0.0000

Properties
The formation energy from the elements is -0.37 eV/atom.

Record 3
A geometry-optimized LuCo2Sn structure. Source: the Materials Project, functional PBE.

Cell lengths 4.4901, 4.4901, 4.4901 Å; angles 60.00, 60.00, 60.00 degrees
Fractional coordinates of all 4 atoms:
Sn1 0.0000 0.0000 0.0000
Lu1 0.5000 0.5000 0.5000
Co1 0.7500 0.7500 0.7500
Co2 0.2500 0.2500 0.2500

Properties
The formation energy from the elements is -0.33 eV/atom.